# 1
Computed, not measured: a geometry-optimized LiCo2P3O12 structure at the PBE with a Hubbard U level of DFT.

Unit cell a=8.392 b=8.408 c=8.976 alpha=117.82 beta=90.14 gamma=119.88
Space group P-1 (No. 2)
Inequivalent atoms, fractional coordinates:
1 Li 0.177 0.098 0.362
2 Co 0.145 0.780 0.443
3 Co 0.357 0.218 0.071
4 P 0.035 0.285 0.249
5 P 0.249 0.287 0.749
6 P 0.461 0.998 0.250
7 O 0.009 0.470 0.302
8 O 0.020 0.226 0.392
9 O 0.035 0.214 0.708
10 O 0.119 0.918 0.929
11 O 0.234 0.344 0.223
12 O 0.264 0.119 0.583
13 O 0.304 0.294 0.917
14 O 0.328 0.834 0.298
15 O 0.339 0.827 0.603
16 O 0.374 0.117 0.236
17 O 0.384 0.510 0.773
18 O 0.499 0.884 0.076

Summary:
corrected total energy (MP2020 scheme): -7.125 eV per atom
calculated volume: 231 Å³/f.u.
energy above the most stable polymorph in this dataset: 28 meV per atom
VASP energy: -233.5 eV per cell
energy relative to the elements: -2028.2 meV per atom

***

# 2
Computed, not measured: a geometry-optimized Na2CrCoF7 structure at the PBE with a Hubbard U level of DFT.

Unit cell a=12.784 b=7.437 c=24.822 alpha=90.00 beta=99.46 gamma=90.00
Space group C2/c (No. 15)
Inequivalent atoms, fractional coordinates:
1 Na 0.000 0.000 0.000
2 Na 0.000 0.217 0.250
3 Na 0.000 0.500 0.000
4 Na 0.126 0.007 0.878
5 Na 0.248 0.456 0.249
6 Na 0.250 0.250 0.000
7 Cr 0.000 0.250 0.750
8 Cr 0.126 0.237 0.125
9 Cr 0.250 0.250 0.500
10 Co 0.123 0.491 0.372
11 Co 0.127 0.261 0.626
12 F 0.015 0.286 0.358
13 F 0.025 0.334 0.900
14 F 0.071 0.005 0.610
15 F 0.081 0.446 0.790
16 F 0.082 0.058 0.790
17 F 0.089 0.274 0.046
18 F 0.113 0.250 0.706
19 F 0.141 0.278 0.546
20 F 0.163 0.422 0.454
21 F 0.165 0.196 0.205
22 F 0.169 0.039 0.468
23 F 0.181 0.480 0.141
24 F 0.222 0.314 0.347
25 F 0.232 0.308 0.890

Summary:
corrected total energy (MP2020 scheme): -5.852 eV per atom
calculated volume: 145 Å³/f.u.
VASP energy: -920.0 eV per cell
energy relative to the elements: -2869.5 meV per atom

***

no.,magnetization (Bohr magnetons per cell)
1,12.0
2,96.0